{"formula": "K6ZnBi5", "functional": "PBE-GGA", "state": "optimized geometry", "sg": "Pmmn", "delta_e_f_mev_per_atom": -346, "lattice_angstrom": [[5.642, 0.000, 0.000], [0.000, 15.525, 0.000], [0.000, 0.000, 11.617]], "species": ["K", "K", "K", "K", "K", "K", "K", "K", "K", "K", "K", "K", "Zn", "Zn", "Bi", "Bi", "Bi", "Bi", "Bi", "Bi", "Bi", "Bi", "Bi", "Bi"], "fractional_positions": [[0.250, 0.019, 0.186], [0.250, 0.481, 0.186], [0.250, 0.617, 0.561], [0.250, 0.750, 0.245], [0.250, 0.750, 0.891], [0.250, 0.883, 0.561], [0.750, 0.117, 0.439], [0.750, 0.250, 0.109], [0.750, 0.250, 0.755], [0.750, 0.383, 0.439], [0.750, 0.519, 0.814], [0.750, 0.981, 0.814], [0.250, 0.250, 0.542], [0.750, 0.750, 0.458], [0.250, 0.103, 0.670], [0.250, 0.152, 0.919], [0.250, 0.250, 0.306], [0.250, 0.348, 0.919], [0.250, 0.397, 0.670], [0.750, 0.603, 0.330], [0.750, 0.652, 0.081], [0.750, 0.750, 0.694], [0.750, 0.848, 0.081], [0.750, 0.897, 0.330]]}